Material: P2Ir
Method: DFT, GGA-PBE
State: optimized geometry Values from VASP.

Quantum ESPRESSO input file:
```
&SYSTEM
  ibrav = 0, nat = 12, ntyp = 2
/
ATOMIC_SPECIES
Ir 192.22 Ir.upf
P 30.97 P.upf
CELL_PARAMETERS angstrom
0.000 -5.795 0.000
-5.838 0.000 0.000
0.000 -2.144 -5.497
ATOMIC_POSITIONS angstrom
Ir -5.834 -4.847 -1.604
Ir -2.915 -2.021 -1.145
Ir -0.004 -3.093 -3.893
Ir -2.923 -5.919 -4.353
P -5.116 -5.336 -3.788
P -3.640 -4.264 -1.039
P -0.721 -2.603 -1.710
P -0.694 -6.748 -4.788
P -5.143 -1.192 -0.710
P -2.225 -5.676 -2.039
P -3.613 -2.264 -3.458
P -2.198 -3.675 -4.458
```

Computed properties:
Energy of formation ... -69.7 kJ/mol of atoms
Crystal system ... monoclinic
Symmetry ... P2_1/c (14)